# YV6Sn6, optimized geometry, DFT r2SCAN
data_YV6Sn6
_symmetry_space_group_name_H-M 'P 6/m m m'
_symmetry_Int_Tables_number 191
_symmetry_space_group_name_Hall '-P 6 2'
_cell_length_a 5.4788
_cell_length_b 5.4788
_cell_length_c 9.2287
_cell_angle_alpha 90.00
_cell_angle_beta 90.00
_cell_angle_gamma 120.00
loop_
_atom_site_label
_atom_site_fract_x
_atom_site_fract_y
_atom_site_fract_z
Y1 0.0000 0.0000 0.0000
V1 0.0000 0.5000 0.2486
Sn1 0.0000 0.0000 0.3297
Sn2 0.3333 0.6667 0.0000
Sn3 0.3333 0.6667 0.5000
# ΔH_f (0 K): -0.257 eV per atom
# energy: -19.744 eV/atom
# M_tot: 0.000 μB/cell

***

# Y5Sn3, optimized geometry, DFT r2SCAN
data_Y5Sn3
_symmetry_space_group_name_H-M 'P 63/m c m'
_symmetry_Int_Tables_number 193
_symmetry_space_group_name_Hall '-P 6c 2'
_cell_length_a 8.9553
_cell_length_b 8.9553
_cell_length_c 6.5987
_cell_angle_alpha 90.00
_cell_angle_beta 90.00
_cell_angle_gamma 120.00
loop_
_atom_site_label
_atom_site_fract_x
_atom_site_fract_y
_atom_site_fract_z
Y1 0.0000 0.2398 0.2500
Y2 0.3333 0.6667 0.0000
Sn1 0.0000 0.3944 0.7500
# ΔH_f (0 K): -0.870 eV per atom
# energy: -22.846 eV/atom
# M_tot: 1.292 μB/cell

***

Q: Which of these has the highest ΔH_f (0 K)?
A: YV6Sn6